DFT (PBE) results for CsMo3I7 after structural relaxation.

abc: 11.0686 11.0686 16.9747
angles: 90.00 90.00 120.00
Sites, in units of the cell vectors:
Cs 0.0000 0.0000 0.0000
Cs 0.0000 0.0000 0.5000
Cs 0.3333 0.6667 0.2500
Cs 0.6667 0.3333 0.7500
Mo 0.1913 0.5260 0.6854
Mo 0.1913 0.6654 0.8146
Mo 0.3346 0.5260 0.8146
Mo 0.3346 0.8087 0.6854
Mo 0.4740 0.6654 0.6854
Mo 0.4740 0.8087 0.8146
Mo 0.5260 0.1913 0.1854
Mo 0.5260 0.3346 0.3146
Mo 0.6654 0.1913 0.3146
Mo 0.6654 0.4740 0.1854
Mo 0.8087 0.3346 0.1854
Mo 0.8087 0.4740 0.3146
I 0.0305 0.3449 0.0907
I 0.0305 0.6856 0.4093
I 0.0433 0.3721 0.8192
I 0.0433 0.6712 0.6808
I 0.3144 0.3449 0.4093
I 0.3144 0.9695 0.0907
I 0.3288 0.3721 0.6808
I 0.3288 0.9567 0.8192
I 0.3333 0.6667 0.5488
I 0.3333 0.6667 0.9512
I 0.3449 0.0305 0.5907
I 0.3449 0.3144 0.9093
I 0.3721 0.0433 0.3192
I 0.3721 0.3288 0.1808
I 0.6279 0.6712 0.8192
I 0.6279 0.9567 0.6808
I 0.6551 0.6856 0.0907
I 0.6551 0.9695 0.4093
I 0.6667 0.3333 0.0488
I 0.6667 0.3333 0.4512
I 0.6712 0.0433 0.1808
I 0.6712 0.6279 0.3192
I 0.6856 0.0305 0.9093
I 0.6856 0.6551 0.5907
I 0.9567 0.3288 0.3192
I 0.9567 0.6279 0.1808
I 0.9695 0.3144 0.5907
I 0.9695 0.6551 0.9093

Calculated values
ΔE_f ... -841 meV/atom
MP2020-corrected energy ... -4.850 eV per atom
M_tot ... 0.01 μB/f.u.